Record 1
Cs4FeO4 | r2SCAN | optimized geometry

Cell and atoms, written as POSCAR:
```
Cs4FeO4
1.0
10.875 0.000 0.000
0.000 6.920 0.000
-1.784 0.000 11.431
Cs Fe O
16 4 16
direct
0.065 0.081 0.325
0.065 0.419 0.825
0.160 0.620 0.509
0.160 0.880 0.009
0.391 0.707 0.788
0.391 0.793 0.288
0.406 0.232 0.931
0.406 0.268 0.431
0.594 0.732 0.569
0.594 0.768 0.069
0.609 0.207 0.712
0.609 0.293 0.212
0.840 0.120 0.991
0.840 0.380 0.491
0.935 0.581 0.175
0.935 0.919 0.675
0.240 0.129 0.646
0.240 0.371 0.146
0.760 0.629 0.854
0.760 0.871 0.354
0.094 0.224 0.579
0.094 0.276 0.079
0.198 0.505 0.268
0.198 0.995 0.768
0.335 0.155 0.165
0.335 0.345 0.665
0.339 0.537 0.080
0.339 0.963 0.580
0.661 0.037 0.420
0.661 0.463 0.920
0.665 0.655 0.335
0.665 0.845 0.835
0.802 0.005 0.232
0.802 0.495 0.732
0.906 0.724 0.921
0.906 0.776 0.421
```

Output
Calculated formation energy in meV per atom: -1534
Volume in Å³/atom: 23.9
ρ in g/cm³: 5.0
Space group: P2_1/c, No. 14

***

Record 2
Cs8Fe2O7 | r2SCAN | optimized geometry

Cell and atoms, written as POSCAR:
```
Cs8Fe2O7
1.0
7.390 0.000 0.000
0.000 18.034 0.000
-3.498 0.000 6.318
Cs Fe O
16 4 14
direct
0.140 0.083 0.146
0.140 0.417 0.646
0.254 0.714 0.210
0.254 0.786 0.710
0.271 0.508 0.231
0.271 0.992 0.731
0.282 0.192 0.736
0.282 0.308 0.236
0.718 0.692 0.764
0.718 0.808 0.264
0.729 0.008 0.269
0.729 0.492 0.769
0.746 0.214 0.290
0.746 0.286 0.790
0.860 0.583 0.354
0.860 0.917 0.854
0.362 0.595 0.862
0.362 0.905 0.362
0.638 0.095 0.638
0.638 0.405 0.138
0.097 0.598 0.838
0.097 0.902 0.338
0.348 0.605 0.595
0.348 0.895 0.095
0.471 0.173 0.460
0.471 0.327 0.960
0.500 0.000 0.500
0.500 0.500 0.000
0.529 0.673 0.040
0.529 0.827 0.540
0.652 0.105 0.905
0.652 0.395 0.405
0.903 0.098 0.662
0.903 0.402 0.162
```

Output
Calculated formation energy in meV per atom: -1477
Volume in Å³/atom: 24.8
ρ in g/cm³: 5.1
Space group: P2_1/c, No. 14